(i)
Below is an optimized crystal structure of NaCoPO4, with properties calculated at the GGA+U level.

Lattice parameters (Å, degrees): 10.263 10.263 24.094 90.00 90.00 120.00
Fractional positions:
Na (0.968, 0.962, 0.589)
Na (0.505, 0.064, 0.748)
Na (0.047, 0.514, 0.254)
Na (0.533, 0.047, 0.087)
Na (0.514, 0.467, 0.420)
Na (0.510, 0.547, 0.254)
Na (0.490, 0.453, 0.754)
Na (0.486, 0.533, 0.920)
Na (0.064, 0.559, 0.915)
Na (0.962, 0.994, 0.755)
Na (0.994, 0.032, 0.922)
Na (0.441, 0.505, 0.581)
Na (0.559, 0.495, 0.081)
Na (0.032, 0.038, 0.089)
Na (0.936, 0.441, 0.415)
Na (0.495, 0.936, 0.248)
Na (0.467, 0.953, 0.587)
Na (0.453, 0.963, 0.921)
Na (0.006, 0.968, 0.422)
Na (0.953, 0.486, 0.754)
Na (0.547, 0.037, 0.421)
Na (0.963, 0.510, 0.087)
Na (0.038, 0.006, 0.255)
Na (0.037, 0.490, 0.587)
Co (0.148, 0.834, 0.683)
Co (0.883, 0.699, 0.179)
Co (0.657, 0.329, 0.650)
Co (0.381, 0.173, 0.209)
Co (0.329, 0.672, 0.817)
Co (0.685, 0.852, 0.016)
Co (0.166, 0.315, 0.349)
Co (0.699, 0.816, 0.346)
Co (0.619, 0.827, 0.709)
Co (0.208, 0.381, 0.042)
Co (0.792, 0.619, 0.542)
Co (0.816, 0.117, 0.512)
Co (0.184, 0.883, 0.012)
Co (0.834, 0.685, 0.849)
Co (0.672, 0.343, 0.984)
Co (0.343, 0.671, 0.150)
Co (0.315, 0.148, 0.516)
Co (0.173, 0.792, 0.375)
Co (0.328, 0.657, 0.484)
Co (0.301, 0.184, 0.846)
Co (0.827, 0.208, 0.875)
Co (0.852, 0.166, 0.183)
Co (0.671, 0.328, 0.317)
Co (0.117, 0.301, 0.679)
P (0.349, 0.132, 0.340)
P (0.837, 0.147, 0.313)
P (0.311, 0.163, 0.646)
P (0.212, 0.882, 0.144)
P (0.882, 0.670, 0.311)
P (0.868, 0.217, 0.006)
P (0.147, 0.311, 0.479)
P (0.163, 0.853, 0.813)
P (0.360, 0.673, 0.348)
P (0.783, 0.651, 0.673)
P (0.689, 0.837, 0.146)
P (0.673, 0.313, 0.514)
P (0.217, 0.349, 0.173)
P (0.687, 0.360, 0.181)
P (0.651, 0.868, 0.840)
P (0.640, 0.327, 0.848)
P (0.132, 0.783, 0.506)
P (0.327, 0.687, 0.014)
P (0.788, 0.118, 0.644)
P (0.853, 0.689, 0.979)
P (0.330, 0.212, 0.977)
P (0.670, 0.788, 0.477)
P (0.313, 0.640, 0.681)
P (0.118, 0.330, 0.811)
O (0.216, 0.720, 0.982)
O (0.678, 0.990, 0.884)
O (0.139, 0.972, 0.844)
O (0.990, 0.313, 0.050)
O (0.733, 0.673, 0.303)
O (0.316, 0.270, 0.919)
O (0.483, 0.833, 0.013)
O (0.239, 0.918, 0.756)
O (0.331, 0.550, 0.988)
O (0.730, 0.046, 0.586)
O (0.550, 0.219, 0.155)
O (0.058, 0.206, 0.168)
O (0.711, 0.704, 0.969)
O (0.195, 0.188, 0.013)
O (0.280, 0.496, 0.649)
O (0.784, 0.280, 0.482)
O (0.916, 0.300, 0.949)
O (0.635, 0.371, 0.241)
O (0.717, 0.204, 0.025)
O (0.321, 0.239, 0.589)
O (0.993, 0.289, 0.303)
O (0.371, 0.736, 0.408)
O (0.851, 0.058, 0.002)
O (0.084, 0.700, 0.449)
O (0.267, 0.327, 0.803)
O (0.332, 0.852, 0.172)
O (0.629, 0.264, 0.908)
O (0.350, 0.517, 0.346)
O (0.812, 0.006, 0.680)
O (0.668, 0.148, 0.672)
O (0.006, 0.195, 0.847)
O (0.322, 0.010, 0.384)
O (0.028, 0.167, 0.511)
O (0.736, 0.365, 0.574)
O (0.148, 0.480, 0.838)
O (0.761, 0.082, 0.256)
O (0.520, 0.668, 0.505)
O (0.732, 0.186, 0.347)
O (0.480, 0.332, 0.005)
O (0.264, 0.635, 0.074)
O (0.814, 0.546, 0.014)
O (0.270, 0.954, 0.086)
O (0.704, 0.993, 0.136)
O (0.954, 0.684, 0.253)
O (0.517, 0.167, 0.513)
O (0.546, 0.732, 0.181)
O (0.616, 0.916, 0.783)
O (0.327, 0.060, 0.969)
O (0.833, 0.861, 0.177)
O (0.700, 0.616, 0.616)
O (0.794, 0.851, 0.835)
O (0.679, 0.761, 0.089)
O (0.513, 0.717, 0.859)
O (0.060, 0.733, 0.136)
O (0.219, 0.669, 0.322)
O (0.684, 0.730, 0.419)
O (0.188, 0.994, 0.180)
O (0.940, 0.267, 0.636)
O (0.673, 0.940, 0.469)
O (0.283, 0.796, 0.525)
O (0.454, 0.268, 0.681)
O (0.206, 0.149, 0.335)
O (0.861, 0.028, 0.344)
O (0.687, 0.678, 0.717)
O (0.972, 0.833, 0.011)
O (0.994, 0.805, 0.347)
O (0.450, 0.781, 0.655)
O (0.942, 0.794, 0.668)
O (0.007, 0.711, 0.803)
O (0.781, 0.331, 0.822)
O (0.384, 0.084, 0.283)
O (0.204, 0.487, 0.192)
O (0.289, 0.296, 0.469)
O (0.365, 0.629, 0.741)
O (0.650, 0.483, 0.846)
O (0.504, 0.784, 0.315)
O (0.296, 0.007, 0.636)
O (0.082, 0.321, 0.422)
O (0.167, 0.139, 0.677)
O (0.669, 0.450, 0.488)
O (0.487, 0.283, 0.359)
O (0.046, 0.316, 0.753)
O (0.852, 0.520, 0.338)
O (0.796, 0.513, 0.692)
O (0.313, 0.322, 0.217)
O (0.149, 0.942, 0.502)
O (0.805, 0.812, 0.513)
O (0.186, 0.454, 0.514)
O (0.720, 0.504, 0.149)
O (0.268, 0.814, 0.847)
O (0.918, 0.679, 0.922)
O (0.496, 0.216, 0.815)
O (0.010, 0.687, 0.550)
O (0.300, 0.384, 0.116)
O (0.167, 0.650, 0.680)
O (0.833, 0.350, 0.180)

Results
Its space group is P6_5 (170).


(ii)
Below is an optimized crystal structure of NaCoPO4, with properties calculated at the GGA+U level.

Lattice parameters (Å, degrees): 11.148 5.861 10.034 87.19 90.00 90.00
Fractional positions:
Na (0.632, 0.125, 0.625)
Na (0.368, 0.875, 0.375)
Na (0.153, 0.379, 0.869)
Na (0.347, 0.379, 0.369)
Na (0.653, 0.621, 0.631)
Na (0.868, 0.125, 0.125)
Na (0.847, 0.621, 0.131)
Na (0.132, 0.875, 0.875)
Co (0.622, 0.348, 0.001)
Co (0.378, 0.652, 0.999)
Co (0.105, 0.110, 0.266)
Co (0.395, 0.110, 0.766)
Co (0.878, 0.348, 0.501)
Co (0.122, 0.652, 0.499)
Co (0.605, 0.890, 0.234)
Co (0.895, 0.890, 0.734)
P (0.637, 0.875, 0.914)
P (0.137, 0.125, 0.586)
P (0.615, 0.376, 0.328)
P (0.363, 0.125, 0.086)
P (0.385, 0.624, 0.672)
P (0.885, 0.376, 0.828)
P (0.863, 0.875, 0.414)
P (0.115, 0.624, 0.172)
O (0.798, 0.382, 0.949)
O (0.440, 0.906, 0.123)
O (0.535, 0.155, 0.347)
O (0.443, 0.343, 0.076)
O (0.060, 0.906, 0.623)
O (0.229, 0.151, 0.698)
O (0.803, 0.912, 0.551)
O (0.943, 0.657, 0.424)
O (0.187, 0.635, 0.305)
O (0.533, 0.592, 0.326)
O (0.197, 0.088, 0.449)
O (0.313, 0.635, 0.805)
O (0.813, 0.365, 0.695)
O (0.560, 0.094, 0.877)
O (0.202, 0.618, 0.051)
O (0.771, 0.849, 0.302)
O (0.967, 0.592, 0.826)
O (0.687, 0.365, 0.195)
O (0.702, 0.382, 0.449)
O (0.697, 0.912, 0.051)
O (0.467, 0.408, 0.674)
O (0.940, 0.094, 0.377)
O (0.303, 0.088, 0.949)
O (0.035, 0.845, 0.153)
O (0.298, 0.618, 0.551)
O (0.465, 0.845, 0.653)
O (0.033, 0.408, 0.174)
O (0.271, 0.151, 0.198)
O (0.057, 0.343, 0.576)
O (0.965, 0.155, 0.847)
O (0.557, 0.657, 0.924)
O (0.729, 0.849, 0.802)

Results
Its space group is P2_1/c (14).


Least stable: (i)